Here is Ag6S2IBr after structural relaxation from Materials Project. Energies are from PBE.

The energy of formation from the pure elements is -0.25 eV/atom. The value obtained for the total energy is -2.942 eV per atom. For the calculated density, the calculation gives 6.3 g/cm³.

Geometry as POSCAR:
```
Ag6S2IBr
1.0
3.562 -6.016 -0.090
2.474 5.424 -3.549
6.065 -0.366 3.349
Ag S I Br
6 2 1 1
direct
0.522 0.054 0.946
0.522 0.468 0.532
0.328 0.430 0.102
0.328 0.898 0.570
0.986 0.493 0.007
0.986 0.993 0.507
0.491 0.745 0.755
0.491 0.245 0.255
0.990 0.995 0.005
0.974 0.487 0.513
```


Here is Na2InAgBr6 after structural relaxation from Materials Project. Energies are from PBE.

The energy of formation from the pure elements is -1.21 eV/atom. The value obtained for the total energy is -2.691 eV per atom. For the calculated density, the calculation gives 3.7 g/cm³.

Geometry as POSCAR:
```
Na2InAgBr6
1.0
0.000 5.508 5.508
5.508 0.000 5.508
5.508 5.508 0.000
Br In Na Ag
6 1 2 1
direct
0.246 0.246 0.754
0.754 0.246 0.754
0.246 0.754 0.754
0.754 0.246 0.246
0.246 0.754 0.246
0.754 0.754 0.246
0.000 0.000 0.000
0.250 0.250 0.250
0.750 0.750 0.750
0.500 0.500 0.500
```


Here is Rb2InAgBr6 after structural relaxation from Materials Project. Energies are from PBE.

The energy of formation from the pure elements is -1.44 eV/atom. The value obtained for the total energy is -2.855 eV per atom. For the calculated density, the calculation gives 4.2 g/cm³.

Geometry as POSCAR:
```
Rb2InAgBr6
1.0
0.000 5.569 5.569
5.569 0.000 5.569
5.569 5.569 0.000
Br Ag Rb In
6 1 2 1
direct
0.245 0.755 0.755
0.755 0.755 0.245
0.755 0.245 0.755
0.245 0.755 0.245
0.755 0.245 0.245
0.245 0.245 0.755
0.500 0.500 0.500
0.750 0.750 0.750
0.250 0.250 0.250
0.000 0.000 0.000
```


> What is the energy of formation from the pure elements in the third record?

-1.44 eV/atom


> calculated density of number 2 (Na2InAgBr6)?

3.7 g/cm³


> Look up the calculated density of the third one.

4.2 g/cm³


> Number 2 is which compound?

Na2InAgBr6